MnCo2Si | PBE | optimized geometry

```
MnCo2Si
1.0
2.848 0.000 0.000
0.000 2.848 0.000
0.000 0.000 5.581
Mn Co Si
1 2 1
Cartesian
0.000 0.000 0.000
1.424 1.424 1.483
1.424 1.424 4.098
0.000 0.000 2.791
```

Summary:
Its energy of formation is -31 kJ per mole of atoms. For the final energy, the calculation gives -0.554 Ry per atom.

Sr2ScSbO6 | PBE | optimized geometry

```
Sr2ScSbO6
1.0
5.772 0.000 0.000
0.000 5.752 0.000
-5.762 0.000 8.129
Sr Sc Sb O
4 2 2 12
Cartesian
-0.013 0.061 2.024
-2.894 2.815 6.088
2.904 2.937 2.041
0.023 5.690 6.105
2.886 0.000 0.000
0.005 2.876 4.064
-2.881 0.000 4.064
0.000 2.876 0.000
-4.457 1.365 7.911
-1.576 1.510 3.847
-4.259 4.183 7.897
-1.378 4.445 3.833
-2.573 0.029 6.047
0.308 2.847 1.983
-0.298 2.905 6.146
2.583 5.723 2.082
1.388 1.307 4.295
4.269 1.569 0.231
1.586 4.241 4.281
4.467 4.386 0.217
```

Summary:
Its energy of formation is -300 kJ per mole of atoms. For the final energy, the calculation gives -0.519 Ry per atom.

LiBiP2O7 | PBE | optimized geometry

```
LiBiP2O7
1.0
7.461 0.000 0.000
0.000 10.888 0.000
-3.767 0.000 7.808
Li Bi P O
4 4 8 28
Cartesian
0.824 1.730 0.711
-1.060 3.714 4.615
4.754 7.174 3.193
2.870 9.158 7.096
0.737 6.568 1.802
-1.146 9.764 5.706
4.841 1.124 2.101
2.957 4.320 6.005
-1.955 6.452 6.076
-0.071 9.880 2.173
0.845 7.167 5.585
2.728 9.165 1.682
0.966 1.723 6.126
2.849 3.721 2.222
3.765 1.008 5.635
5.649 4.436 1.731
-2.265 7.596 5.086
-0.381 8.736 1.182
-0.278 0.388 1.560
-2.161 5.056 5.464
-2.778 6.588 7.352
-0.894 9.744 3.448
-0.273 0.985 5.623
1.611 4.459 1.719
0.501 6.914 4.134
2.384 9.418 0.230
-0.396 6.589 6.496
1.488 9.743 2.592
2.739 2.218 1.830
0.855 3.226 5.734
2.839 7.662 2.074
0.955 8.670 5.978
2.206 1.145 5.216
4.090 4.299 1.312
1.310 1.470 7.577
3.193 3.974 3.673
2.083 6.429 6.089
3.967 9.903 2.185
4.588 1.144 4.359
6.472 4.300 0.456
5.855 5.831 2.344
3.972 10.500 6.248
4.075 2.152 6.625
5.959 3.292 2.721
```

Summary:
Its energy of formation is -240 kJ per mole of atoms. For the final energy, the calculation gives -0.493 Ry per atom.

SiO2 | PBE | optimized geometry

```
SiO2
1.0
4.010 2.315 2.639
-4.010 2.315 2.639
0.000 -4.630 2.639
Si O
3 6
Cartesian
-3.146 0.818 2.639
0.864 -3.133 2.639
2.281 2.315 2.639
-0.767 -3.301 2.639
-2.669 0.000 3.958
-2.476 2.315 2.639
1.334 -2.311 3.958
3.243 0.987 2.639
1.334 2.311 3.958
```

Summary:
The piezoelectric modulus e_max comes out at 0.018 C/m2. Its energy of formation is -312 kJ per mole of atoms. For the final energy, the calculation gives -0.580 Ry per atom.

- Look up the energy of formation of the third one.
  -240 kJ per mole of atoms

- The lowest final energy belongs to which entry?
  SiO2

- The highest energy of formation belongs to which entry?
  MnCo2Si